No. 1
Below is crystalline VO2 at its relaxed geometry, with properties calculated at the GGA+U level.

Summary:
E_tot = -7.72 eV per atom
Energy of formation = -233.6 kJ per mole of atoms

Geometry as CIF:
```
data_VO2
_symmetry_space_group_name_H-M 'P 1'
_symmetry_Int_Tables_number 1
_cell_length_a 8.746
_cell_length_b 3.061
_cell_length_c 10.366
_cell_angle_alpha 90.00
_cell_angle_beta 90.00
_cell_angle_gamma 90.00
loop_
_symmetry_equiv_pos_as_xyz
'x,y,z'
loop_
_atom_site_label
_atom_site_fract_x
_atom_site_fract_y
_atom_site_fract_z
V1 0.070 0.250 0.109
V2 0.071 0.250 0.608
V3 0.429 0.750 0.108
V4 0.430 0.750 0.609
V5 0.570 0.250 0.391
V6 0.571 0.250 0.892
V7 0.929 0.750 0.392
V8 0.930 0.750 0.891
O1 0.018 0.750 0.221
O2 0.075 0.250 0.429
O3 0.111 0.750 0.984
O4 0.211 0.750 0.639
O5 0.289 0.250 0.139
O6 0.389 0.250 0.484
O7 0.425 0.750 0.929
O8 0.482 0.250 0.721
O9 0.518 0.750 0.279
O10 0.575 0.250 0.071
O11 0.611 0.750 0.516
O12 0.711 0.750 0.861
O13 0.789 0.250 0.361
O14 0.889 0.250 0.016
O15 0.925 0.750 0.571
O16 0.982 0.250 0.779
```

***

No. 2
Below is crystalline VO2 at its relaxed geometry, with properties calculated at the GGA+U level.

Summary:
E_tot = -7.72 eV per atom
Energy of formation = -232.9 kJ per mole of atoms

Geometry as CIF:
```
data_VO2
_symmetry_space_group_name_H-M 'P 1'
_symmetry_Int_Tables_number 1
_cell_length_a 3.033
_cell_length_b 8.773
_cell_length_c 10.537
_cell_angle_alpha 90.86
_cell_angle_beta 90.01
_cell_angle_gamma 90.05
loop_
_symmetry_equiv_pos_as_xyz
'x,y,z'
loop_
_atom_site_label
_atom_site_fract_x
_atom_site_fract_y
_atom_site_fract_z
V1 0.000 0.000 0.000
V2 0.002 0.499 0.212
V3 0.055 0.493 0.721
V4 0.490 0.864 0.714
V5 0.500 0.859 0.211
V6 0.502 0.359 0.998
V7 0.553 0.365 0.491
V8 0.990 0.994 0.497
O1 0.001 0.318 0.122
O2 0.002 0.407 0.889
O3 0.037 0.496 0.532
O4 0.479 0.644 0.747
O5 0.488 0.041 0.622
O6 0.491 0.944 0.385
O7 0.498 0.853 0.035
O8 0.500 0.138 0.968
O9 0.501 0.541 0.089
O10 0.502 0.452 0.322
O11 0.537 0.362 0.680
O12 0.979 0.214 0.465
O13 0.987 0.817 0.590
O14 0.991 0.914 0.826
O15 0.999 0.006 0.176
O16 0.999 0.720 0.241
```

***

No. 3
Below is crystalline V7O3 at its relaxed geometry, with properties calculated at the GGA+U level.

Summary:
E_tot = -6.88 eV per atom
Energy of formation = -42.1 kJ per mole of atoms

Geometry as CIF:
```
data_V7O3
_symmetry_space_group_name_H-M 'P 1'
_symmetry_Int_Tables_number 1
_cell_length_a 5.379
_cell_length_b 5.379
_cell_length_c 8.847
_cell_angle_alpha 92.03
_cell_angle_beta 92.03
_cell_angle_gamma 33.95
loop_
_symmetry_equiv_pos_as_xyz
'x,y,z'
loop_
_atom_site_label
_atom_site_fract_x
_atom_site_fract_y
_atom_site_fract_z
V1 0.000 0.000 0.000
V2 0.137 0.137 0.582
V3 0.299 0.299 0.128
V4 0.420 0.420 0.730
V5 0.580 0.580 0.270
V6 0.701 0.701 0.872
V7 0.863 0.863 0.418
O1 0.218 0.218 0.354
O2 0.500 0.500 0.500
O3 0.782 0.782 0.646
```

***

No. 4
Below is crystalline V2O5 at its relaxed geometry, with properties calculated at the GGA+U level.

Summary:
E_tot = -7.33 eV per atom
Energy of formation = -210.5 kJ per mole of atoms

Geometry as CIF:
```
data_V2O5
_symmetry_space_group_name_H-M 'P 1'
_symmetry_Int_Tables_number 1
_cell_length_a 12.322
_cell_length_b 12.441
_cell_length_c 12.456
_cell_angle_alpha 91.72
_cell_angle_beta 96.21
_cell_angle_gamma 92.43
loop_
_symmetry_equiv_pos_as_xyz
'x,y,z'
loop_
_atom_site_label
_atom_site_fract_x
_atom_site_fract_y
_atom_site_fract_z
V1 0.000 0.000 0.000
V2 0.001 0.330 0.346
V3 0.007 0.272 0.759
V4 0.060 0.529 0.713
V5 0.133 0.771 0.661
V6 0.148 0.461 0.930
V7 0.204 0.175 0.077
V8 0.229 0.108 0.843
V9 0.269 0.344 0.433
V10 0.350 0.797 0.230
V11 0.355 0.419 0.050
V12 0.358 0.066 0.280
V13 0.360 0.891 0.766
V14 0.382 0.554 0.537
V15 0.386 0.212 0.646
V16 0.449 0.490 0.316
V17 0.470 0.719 0.082
V18 0.555 0.711 0.777
V19 0.569 0.431 0.736
V20 0.607 0.126 0.192
V21 0.662 0.295 0.978
V22 0.728 0.724 0.006
V23 0.732 0.973 0.290
V24 0.738 0.495 0.369
V25 0.815 0.516 0.659
V26 0.856 0.470 0.137
V27 0.908 0.684 0.502
V28 0.916 0.143 0.518
V29 0.940 0.913 0.457
V30 0.948 0.835 0.187
O1 0.007 0.892 0.346
O2 0.023 0.793 0.553
O3 0.041 0.907 0.116
O4 0.062 0.347 0.899
O5 0.084 0.569 0.852
O6 0.094 0.802 0.777
O7 0.105 0.198 0.148
O8 0.110 0.171 0.784
O9 0.125 0.416 0.702
O10 0.132 0.084 0.970
O11 0.151 0.629 0.660
O12 0.152 0.317 0.345
O13 0.171 0.491 0.060
O14 0.245 0.725 0.254
O15 0.253 0.471 0.491
O16 0.261 0.845 0.653
O17 0.281 0.970 0.850
O18 0.282 0.266 0.545
O19 0.283 0.076 0.151
O20 0.286 0.306 0.098
O21 0.288 0.431 0.912
O22 0.301 0.138 0.368
O23 0.303 0.187 0.936
O24 0.306 0.136 0.727
O25 0.358 0.809 0.086
O26 0.362 0.924 0.306
O27 0.368 0.652 0.622
O28 0.381 0.495 0.191
O29 0.392 0.369 0.368
O30 0.418 0.596 0.403
O31 0.430 0.601 0.022
O32 0.442 0.782 0.825
O33 0.448 0.969 0.718
O34 0.463 0.322 0.717
O35 0.464 0.141 0.579
O36 0.468 0.711 0.225
O37 0.477 0.380 0.032
O38 0.478 0.473 0.591
O39 0.488 0.130 0.263
O40 0.543 0.563 0.780
O41 0.579 0.747 0.658
O42 0.590 0.487 0.321
O43 0.604 0.218 0.086
O44 0.604 0.767 0.063
O45 0.617 0.381 0.863
O46 0.627 0.996 0.156
O47 0.646 0.909 0.356
O48 0.678 0.745 0.865
O49 0.684 0.427 0.663
O50 0.715 0.135 0.290
O51 0.718 0.201 0.916
O52 0.743 0.597 0.038
O53 0.765 0.371 0.387
O54 0.766 0.376 0.053
O55 0.776 0.570 0.500
O56 0.788 0.605 0.747
O57 0.794 0.155 0.550
O58 0.797 0.538 0.255
O59 0.814 0.879 0.236
O60 0.835 0.802 0.466
O61 0.843 0.799 0.057
O62 0.847 0.012 0.404
O63 0.897 0.218 0.796
O64 0.903 0.074 0.039
O65 0.920 0.435 0.721
O66 0.936 0.378 0.221
O67 0.946 0.528 0.072
O68 0.946 0.599 0.622
O69 0.947 0.209 0.391
O70 0.954 0.931 0.890
O71 0.960 0.636 0.400
O72 0.990 0.017 0.556
O73 0.991 0.239 0.613
O74 0.993 0.718 0.208
O75 0.996 0.421 0.440
```

***

No. 5
Below is crystalline VO2 at its relaxed geometry, with properties calculated at the GGA+U level.

Summary:
E_tot = -7.69 eV per atom
Energy of formation = -230.8 kJ per mole of atoms

Geometry as CIF:
```
data_VO2
_symmetry_space_group_name_H-M 'P 1'
_symmetry_Int_Tables_number 1
_cell_length_a 6.295
_cell_length_b 6.295
_cell_length_c 5.492
_cell_angle_alpha 90.79
_cell_angle_beta 90.79
_cell_angle_gamma 82.76
loop_
_symmetry_equiv_pos_as_xyz
'x,y,z'
loop_
_atom_site_label
_atom_site_fract_x
_atom_site_fract_y
_atom_site_fract_z
V1 0.000 0.000 0.000
V2 0.084 0.439 0.248
V3 0.436 0.076 0.255
V4 0.502 0.498 0.500
V5 0.561 0.916 0.752
V6 0.924 0.564 0.745
O1 0.032 0.684 0.089
O2 0.128 0.124 0.300
O3 0.187 0.523 0.559
O4 0.316 0.968 0.911
O5 0.374 0.387 0.183
O6 0.477 0.813 0.441
O7 0.533 0.176 0.562
O8 0.613 0.626 0.817
O9 0.676 0.032 0.060
O10 0.824 0.467 0.438
O11 0.876 0.872 0.700
O12 0.968 0.324 0.940
```

***

No. 6
Below is crystalline V2O5 at its relaxed geometry, with properties calculated at the GGA+U level.

Summary:
E_tot = -7.43 eV per atom
Energy of formation = -219.8 kJ per mole of atoms

Geometry as CIF:
```
data_V2O5
_symmetry_space_group_name_H-M 'P 1'
_symmetry_Int_Tables_number 1
_cell_length_a 10.139
_cell_length_b 5.917
_cell_length_c 8.532
_cell_angle_alpha 90.00
_cell_angle_beta 90.00
_cell_angle_gamma 90.00
loop_
_symmetry_equiv_pos_as_xyz
'x,y,z'
loop_
_atom_site_label
_atom_site_fract_x
_atom_site_fract_y
_atom_site_fract_z
V1 0.099 0.250 0.158
V2 0.228 0.750 0.298
V3 0.272 0.250 0.798
V4 0.401 0.750 0.658
V5 0.599 0.250 0.342
V6 0.728 0.750 0.202
V7 0.772 0.250 0.702
V8 0.901 0.750 0.842
O1 0.054 0.750 0.901
O2 0.129 0.501 0.271
O3 0.129 0.999 0.271
O4 0.154 0.250 0.671
O5 0.208 0.250 0.995
O6 0.292 0.750 0.495
O7 0.346 0.750 0.171
O8 0.371 0.001 0.771
O9 0.371 0.499 0.771
O10 0.446 0.250 0.401
O11 0.554 0.750 0.599
O12 0.629 0.501 0.229
O13 0.629 0.999 0.229
O14 0.654 0.250 0.829
O15 0.708 0.250 0.505
O16 0.792 0.750 0.005
O17 0.846 0.750 0.329
O18 0.871 0.001 0.729
O19 0.871 0.499 0.729
O20 0.946 0.250 0.099
```

***

No. 7
Below is crystalline VO2 at its relaxed geometry, with properties calculated at the GGA+U level.

Summary:
E_tot = -7.62 eV per atom
Energy of formation = -223.6 kJ per mole of atoms

Geometry as CIF:
```
data_VO2
_symmetry_space_group_name_H-M 'P 1'
_symmetry_Int_Tables_number 1
_cell_length_a 6.007
_cell_length_b 6.015
_cell_length_c 14.349
_cell_angle_alpha 89.89
_cell_angle_beta 89.86
_cell_angle_gamma 60.08
loop_
_symmetry_equiv_pos_as_xyz
'x,y,z'
loop_
_atom_site_label
_atom_site_fract_x
_atom_site_fract_y
_atom_site_fract_z
V1 0.000 0.000 0.000
V2 0.000 0.464 0.001
V3 0.153 0.659 0.669
V4 0.328 0.812 0.330
V5 0.329 0.327 0.341
V6 0.465 0.002 0.999
V7 0.496 0.486 0.503
V8 0.649 0.659 0.672
V9 0.650 0.153 0.669
V10 0.810 0.330 0.329
V11 0.824 0.823 0.210
V12 0.829 0.813 0.841
O1 0.108 0.679 0.917
O2 0.154 0.156 0.924
O3 0.158 0.161 0.384
O4 0.202 0.622 0.417
O5 0.312 0.839 0.059
O6 0.315 0.314 0.059
O7 0.335 0.779 0.593
O8 0.346 0.339 0.595
O9 0.476 0.478 0.262
O10 0.494 0.489 0.737
O11 0.513 0.978 0.253
O12 0.536 0.960 0.749
O13 0.626 0.198 0.415
O14 0.630 0.632 0.411
O15 0.682 0.678 0.917
O16 0.684 0.101 0.918
O17 0.773 0.349 0.589
O18 0.814 0.822 0.602
O19 0.823 0.821 0.080
O20 0.837 0.316 0.060
O21 0.959 0.968 0.747
O22 0.970 0.537 0.749
O23 0.979 0.513 0.253
O24 0.980 0.980 0.253
```

***

No. 8
Below is crystalline V2O3 at its relaxed geometry, with properties calculated at the GGA+U level.

Summary:
E_tot = -7.96 eV per atom
Energy of formation = -236.3 kJ per mole of atoms

Geometry as CIF:
```
data_V2O3
_symmetry_space_group_name_H-M 'P 1'
_symmetry_Int_Tables_number 1
_cell_length_a 3.112
_cell_length_b 6.869
_cell_length_c 7.614
_cell_angle_alpha 81.01
_cell_angle_beta 89.28
_cell_angle_gamma 77.32
loop_
_symmetry_equiv_pos_as_xyz
'x,y,z'
loop_
_atom_site_label
_atom_site_fract_x
_atom_site_fract_y
_atom_site_fract_z
V1 0.000 0.000 0.000
V2 0.023 0.934 0.637
V3 0.337 0.338 0.624
V4 0.361 0.263 0.263
V5 0.632 0.698 0.317
V6 0.708 0.565 0.952
O1 0.131 0.734 0.473
O2 0.157 0.634 0.135
O3 0.259 0.511 0.808
O4 0.445 0.081 0.503
O5 0.503 0.980 0.170
O6 0.587 0.861 0.841
O7 0.794 0.401 0.420
O8 0.856 0.281 0.096
O9 0.913 0.184 0.760
```

***

No. 9
Below is crystalline VO2 at its relaxed geometry, with properties calculated at the GGA+U level.

Summary:
E_tot = -7.64 eV per atom
Energy of formation = -225.4 kJ per mole of atoms

Geometry as CIF:
```
data_VO2
_symmetry_space_group_name_H-M 'P 1'
_symmetry_Int_Tables_number 1
_cell_length_a 5.246
_cell_length_b 10.803
_cell_length_c 5.880
_cell_angle_alpha 90.00
_cell_angle_beta 92.97
_cell_angle_gamma 90.00
loop_
_symmetry_equiv_pos_as_xyz
'x,y,z'
loop_
_atom_site_label
_atom_site_fract_x
_atom_site_fract_y
_atom_site_fract_z
V1 0.000 0.000 0.000
V2 0.000 0.000 0.500
V3 0.000 0.500 0.000
V4 0.000 0.500 0.500
V5 0.499 0.002 0.250
V6 0.499 0.498 0.250
V7 0.501 0.502 0.750
V8 0.501 0.998 0.750
O1 0.162 0.590 0.743
O2 0.162 0.910 0.743
O3 0.163 0.589 0.244
O4 0.163 0.911 0.244
O5 0.338 0.089 0.005
O6 0.338 0.089 0.507
O7 0.338 0.411 0.005
O8 0.338 0.411 0.507
O9 0.662 0.589 0.493
O10 0.662 0.589 0.995
O11 0.662 0.911 0.493
O12 0.662 0.911 0.995
O13 0.837 0.089 0.756
O14 0.837 0.411 0.756
O15 0.838 0.090 0.257
O16 0.838 0.410 0.257
```

***

No. 10
Below is crystalline V4O7 at its relaxed geometry, with properties calculated at the GGA+U level.

Summary:
E_tot = -7.51 eV per atom
Energy of formation = -203.8 kJ per mole of atoms

Geometry as CIF:
```
data_V4O7
_symmetry_space_group_name_H-M 'P 1'
_symmetry_Int_Tables_number 1
_cell_length_a 6.735
_cell_length_b 8.018
_cell_length_c 10.021
_cell_angle_alpha 96.76
_cell_angle_beta 99.01
_cell_angle_gamma 109.76
loop_
_symmetry_equiv_pos_as_xyz
'x,y,z'
loop_
_atom_site_label
_atom_site_fract_x
_atom_site_fract_y
_atom_site_fract_z
V1 0.121 0.497 0.134
V2 0.201 0.538 0.458
V3 0.330 0.906 0.051
V4 0.350 0.248 0.287
V5 0.650 0.752 0.713
V6 0.670 0.094 0.949
V7 0.799 0.462 0.542
V8 0.879 0.503 0.866
O1 0.099 0.606 0.294
O2 0.147 0.653 0.997
O3 0.207 0.305 0.411
O4 0.259 0.022 0.197
O5 0.311 0.382 0.157
O6 0.376 0.045 0.916
O7 0.376 0.679 0.623
O8 0.624 0.321 0.377
O9 0.624 0.955 0.084
O10 0.689 0.618 0.843
O11 0.741 0.978 0.803
O12 0.793 0.695 0.589
O13 0.853 0.347 0.003
O14 0.901 0.394 0.706
```

***

No. 11
Below is crystalline VO2 at its relaxed geometry, with properties calculated at the GGA+U level.

Summary:
E_tot = -7.69 eV per atom
Energy of formation = -230.4 kJ per mole of atoms

Geometry as CIF:
```
data_VO2
_symmetry_space_group_name_H-M 'P 1'
_symmetry_Int_Tables_number 1
_cell_length_a 5.651
_cell_length_b 5.651
_cell_length_c 6.038
_cell_angle_alpha 122.00
_cell_angle_beta 122.00
_cell_angle_gamma 78.64
loop_
_symmetry_equiv_pos_as_xyz
'x,y,z'
loop_
_atom_site_label
_atom_site_fract_x
_atom_site_fract_y
_atom_site_fract_z
V1 0.000 0.500 0.000
V2 0.176 0.824 0.750
V3 0.500 0.000 0.500
V4 0.824 0.176 0.250
O1 0.182 0.247 0.464
O2 0.247 0.182 0.964
O3 0.266 0.730 0.030
O4 0.270 0.734 0.470
O5 0.730 0.266 0.530
O6 0.734 0.270 0.970
O7 0.753 0.818 0.036
O8 0.818 0.753 0.536
```

***

No. 12
Below is crystalline V3O5 at its relaxed geometry, with properties calculated at the GGA+U level.

Summary:
E_tot = -7.95 eV per atom
Energy of formation = -243.0 kJ per mole of atoms

Geometry as CIF:
```
data_V3O5
_symmetry_space_group_name_H-M 'P 1'
_symmetry_Int_Tables_number 1
_cell_length_a 7.107
_cell_length_b 5.189
_cell_length_c 9.990
_cell_angle_alpha 90.00
_cell_angle_beta 109.17
_cell_angle_gamma 90.00
loop_
_symmetry_equiv_pos_as_xyz
'x,y,z'
loop_
_atom_site_label
_atom_site_fract_x
_atom_site_fract_y
_atom_site_fract_z
V1 0.159 0.000 0.128
V2 0.159 0.494 0.628
V3 0.248 0.999 0.499
V4 0.249 0.494 0.999
V5 0.340 0.500 0.369
V6 0.341 0.996 0.869
V7 0.659 0.996 0.131
V8 0.660 0.500 0.631
V9 0.751 0.494 0.001
V10 0.752 0.999 0.501
V11 0.841 0.000 0.872
V12 0.841 0.494 0.372
O1 0.000 0.184 0.500
O2 0.000 0.308 0.000
O3 0.114 0.648 0.420
O4 0.116 0.845 0.921
O5 0.224 0.337 0.814
O6 0.226 0.157 0.314
O7 0.284 0.642 0.199
O8 0.286 0.854 0.698
O9 0.390 0.347 0.579
O10 0.391 0.148 0.079
O11 0.500 0.701 0.000
O12 0.500 0.793 0.500
O13 0.609 0.148 0.921
O14 0.610 0.347 0.421
O15 0.714 0.854 0.302
O16 0.716 0.642 0.801
O17 0.774 0.157 0.686
O18 0.776 0.337 0.186
O19 0.884 0.845 0.079
O20 0.886 0.648 0.580
```